[1]
First-principles (PBE) data for a relaxed Pr2Al2CuNi crystal, as listed in the Materials Project.

Output
- Space-group type: Pm, No. 6
- ΔH_f (0 K): -0.422 eV/atom

Cell: 4.2399 7.1728 12.0797 Å, 89.89 90.00 90.00°
Element x y z (fractional)
Pr (0.5000, 0.0839, 0.4958)
Pr (0.5000, 0.5881, 0.0014)
Pr (0.5000, 0.2004, 0.2100)
Pr (0.5000, 0.7090, 0.7067)
Pr (0.5000, 0.7152, 0.2945)
Pr (0.5000, 0.2069, 0.7927)
Al (0.0000, 0.7241, 0.4979)
Al (0.0000, 0.2225, 0.0003)
Al (0.0000, 0.3863, 0.3880)
Al (0.0000, 0.8887, 0.8891)
Al (0.0000, 0.8907, 0.1136)
Al (0.0000, 0.3883, 0.6107)
Cu (0.0000, 0.4984, 0.8329)
Cu (0.0000, 0.4972, 0.1688)
Cu (0.0000, 0.0005, 0.6658)
Ni (0.5000, 0.0009, 0.0000)
Ni (0.5000, 0.5011, 0.5000)
Ni (0.0000, 0.9977, 0.3318)


[2]
First-principles (PBE) data for a relaxed Li4Sb2H6O3F10 crystal, as listed in the Materials Project.

Output
- Space-group type: P2_1/m, No. 11
- ΔH_f (0 K): -2.258 eV/atom

Cell: 16.6761 5.6752 5.6846 Å, 89.96 90.00 90.00°
Element x y z (fractional)
Li (0.0003, 0.7516, 0.2477)
Li (0.4997, 0.7516, 0.2477)
Li (0.3887, 0.7450, 0.7489)
Li (0.1113, 0.7450, 0.7489)
Li (0.6113, 0.2550, 0.2511)
Li (0.8887, 0.2550, 0.2511)
Li (0.9997, 0.2484, 0.7523)
Li (0.5003, 0.2484, 0.7523)
Sb (0.6289, 0.7407, 0.7403)
Sb (0.8711, 0.7407, 0.7403)
Sb (0.3711, 0.2593, 0.2597)
Sb (0.1289, 0.2593, 0.2597)
H (0.7962, 0.8667, 0.2209)
H (0.7038, 0.8667, 0.2209)
H (0.2964, 0.7912, 0.1449)
H (0.2036, 0.7912, 0.1449)
H (0.2500, 0.7323, 0.5433)
H (0.2500, 0.5341, 0.7384)
H (0.7500, 0.4659, 0.2616)
H (0.7500, 0.2677, 0.4567)
H (0.7964, 0.2088, 0.8551)
H (0.7036, 0.2088, 0.8551)
H (0.2962, 0.1333, 0.7791)
H (0.2038, 0.1333, 0.7791)
O (0.7500, 0.7705, 0.2687)
O (0.2500, 0.7470, 0.2429)
O (0.2500, 0.7086, 0.7158)
O (0.7500, 0.2914, 0.2842)
O (0.7500, 0.2530, 0.7571)
O (0.2500, 0.2295, 0.7313)
F (0.8672, 0.0133, 0.0039)
F (0.6328, 0.0133, 0.0039)
F (0.9016, 0.9937, 0.4851)
F (0.5984, 0.9937, 0.4851)
F (0.5128, 0.8187, 0.8065)
F (0.9872, 0.8187, 0.8065)
F (0.9217, 0.4996, 0.5023)
F (0.5783, 0.4996, 0.5023)
F (0.9066, 0.4925, 0.9975)
F (0.5934, 0.4925, 0.9975)
F (0.4066, 0.5075, 0.0025)
F (0.0934, 0.5075, 0.0025)
F (0.4217, 0.5004, 0.4977)
F (0.0783, 0.5004, 0.4977)
F (0.0128, 0.1813, 0.1935)
F (0.4872, 0.1813, 0.1935)
F (0.4016, 0.0063, 0.5149)
F (0.0984, 0.0063, 0.5149)
F (0.3672, 0.9867, 0.9961)
F (0.1328, 0.9867, 0.9961)


[3]
First-principles (PBE) data for a relaxed KLaTiO4 crystal, as listed in the Materials Project.

Output
- Space-group type: P4/nmm, No. 129
- ΔH_f (0 K): -3.389 eV/atom

Cell: 3.8704 3.8704 13.6048 Å, 90.00 90.00 90.00°
Element x y z (fractional)
K (0.7500, 0.7500, 0.4050)
K (0.2500, 0.2500, 0.5950)
La (0.7500, 0.7500, 0.1043)
La (0.2500, 0.2500, 0.8957)
Ti (0.2500, 0.2500, 0.2574)
Ti (0.7500, 0.7500, 0.7426)
O (0.7500, 0.2500, 0.2261)
O (0.2500, 0.7500, 0.2261)
O (0.2500, 0.7500, 0.7739)
O (0.7500, 0.2500, 0.7739)
O (0.7500, 0.7500, 0.6134)
O (0.2500, 0.2500, 0.3866)
O (0.7500, 0.7500, 0.9328)
O (0.2500, 0.2500, 0.0672)


[4]
First-principles (PBE) data for a relaxed Mg2TiO4 crystal, as listed in the Materials Project.

Output
- Excess energy over the best structure of this formula in the dataset: 0.0041 eV per atom
- Space-group type: P1, No. 1
- ΔH_f (0 K): -3.278 eV/atom

Cell: 6.0761 10.3375 14.7534 Å, 91.49 90.05 90.08°
Element x y z (fractional)
Mg (0.0045, 0.4136, 0.5832)
Mg (0.9958, 0.7511, 0.2517)
Mg (0.9961, 0.2519, 0.2489)
Mg (0.2492, 0.8347, 0.9168)
Mg (0.2516, 0.1645, 0.5829)
Mg (0.2453, 0.5011, 0.2501)
Mg (0.2443, 0.3329, 0.7922)
Mg (0.2532, 0.6645, 0.4596)
Mg (0.2452, 0.9999, 0.1263)
Mg (0.2592, 0.6657, 0.7080)
Mg (0.2504, 0.0028, 0.3749)
Mg (0.2579, 0.3339, 0.0392)
Mg (0.5001, 0.0835, 0.9168)
Mg (0.7422, 0.8362, 0.7918)
Mg (0.7598, 0.1631, 0.7087)
Mg (0.7488, 0.1651, 0.4568)
Mg (0.7457, 0.4994, 0.3756)
Mg (0.7412, 0.5018, 0.1238)
Mg (0.7521, 0.8341, 0.0436)
Mg (0.7536, 0.4989, 0.7500)
Mg (0.7474, 0.1680, 0.0823)
Mg (0.7524, 0.8335, 0.4176)
Mg (0.0014, 0.5821, 0.9158)
Mg (0.0030, 0.9165, 0.5844)
Ti (0.0004, 0.0798, 0.9218)
Ti (0.2545, 0.0007, 0.7501)
Ti (0.2358, 0.3335, 0.4156)
Ti (0.2310, 0.6660, 0.0847)
Ti (0.5031, 0.5930, 0.9140)
Ti (0.5015, 0.9167, 0.5784)
Ti (0.5053, 0.4087, 0.5873)
Ti (0.4955, 0.2555, 0.2436)
Ti (0.4957, 0.7475, 0.2558)
Ti (0.7450, 0.3341, 0.9146)
Ti (0.7701, 0.6643, 0.5845)
Ti (0.7605, 0.0018, 0.2503)
O (0.0173, 0.9290, 0.8336)
O (0.0345, 0.0762, 0.6693)
O (0.0315, 0.2514, 0.4941)
O (0.0264, 0.4126, 0.3373)
O (0.0232, 0.5889, 0.1629)
O (0.0296, 0.7450, 0.0043)
O (0.2414, 0.1511, 0.8351)
O (0.2627, 0.4822, 0.5007)
O (0.2574, 0.8183, 0.1688)
O (0.2629, 0.5175, 0.9999)
O (0.2612, 0.8476, 0.6656)
O (0.2594, 0.1833, 0.3302)
O (0.2642, 0.6566, 0.8435)
O (0.2669, 0.3411, 0.6565)
O (0.2353, 0.0107, 0.9910)
O (0.2677, 0.9887, 0.5097)
O (0.2589, 0.3253, 0.1751)
O (0.2586, 0.6773, 0.3244)
O (0.4685, 0.9245, 0.8315)
O (0.5157, 0.9119, 0.3254)
O (0.5183, 0.4208, 0.8413)
O (0.4771, 0.5984, 0.1686)
O (0.5148, 0.0900, 0.1733)
O (0.5200, 0.7550, 0.5091)
O (0.5315, 0.2517, 0.9932)
O (0.5237, 0.5747, 0.6578)
O (0.4789, 0.4039, 0.3309)
O (0.4852, 0.0692, 0.6678)
O (0.4834, 0.2620, 0.5001)
O (0.4838, 0.7393, 0.9988)
O (0.7642, 0.0098, 0.9901)
O (0.7418, 0.3402, 0.6562)
O (0.7369, 0.6579, 0.8426)
O (0.7332, 0.6774, 0.3247)
O (0.7350, 0.3248, 0.1755)
O (0.7382, 0.9895, 0.5110)
O (0.7365, 0.8380, 0.1787)
O (0.7597, 0.1699, 0.8441)
O (0.7415, 0.5020, 0.5110)
O (0.7416, 0.8271, 0.6562)
O (0.7338, 0.1643, 0.3216)
O (0.7412, 0.4980, 0.9885)
O (0.9830, 0.2465, 0.9918)
O (0.9699, 0.4150, 0.8381)
O (0.9772, 0.5855, 0.6621)
O (0.9728, 0.7448, 0.5044)
O (0.9679, 0.9236, 0.3302)
O (0.9669, 0.0809, 0.1718)


[5]
First-principles (PBE) data for a relaxed CaZrSi6H2O15 crystal, as listed in the Materials Project.

Output
- Space-group type: C2, No. 5
- ΔH_f (0 K): -2.891 eV/atom

Cell: 10.0580 10.0580 7.9188 Å, 76.72 76.72 90.46°
Element x y z (fractional)
Ca (0.4708, 0.0215, 0.5486)
Ca (0.9785, 0.5292, 0.4514)
Zr (0.7252, 0.7779, 0.4961)
Zr (0.2221, 0.2748, 0.5039)
Si (0.4885, 0.8239, 0.2271)
Si (0.1761, 0.5115, 0.7729)
Si (0.7975, 0.5777, 0.1632)
Si (0.4223, 0.2025, 0.8368)
Si (0.2732, 0.0467, 0.2305)
Si (0.9533, 0.7268, 0.7695)
Si (0.0245, 0.3480, 0.1615)
Si (0.6520, 0.9755, 0.8385)
Si (0.9703, 0.0380, 0.1961)
Si (0.9620, 0.0297, 0.8039)
Si (0.4855, 0.5187, 0.2024)
Si (0.4813, 0.5145, 0.7976)
H (0.1861, 0.6946, 0.3154)
H (0.3054, 0.8139, 0.6846)
H (0.6490, 0.1711, 0.2668)
H (0.8289, 0.3510, 0.7332)
O (0.6489, 0.8990, 0.6795)
O (0.1010, 0.3511, 0.3205)
O (0.5998, 0.8746, 0.0359)
O (0.1254, 0.4002, 0.9641)
O (0.3073, 0.1058, 0.3921)
O (0.8942, 0.6927, 0.6079)
O (0.3491, 0.9050, 0.2203)
O (0.0950, 0.6509, 0.7797)
O (0.4433, 0.6632, 0.2570)
O (0.3368, 0.5567, 0.7430)
O (0.3387, 0.1878, 0.6889)
O (0.8122, 0.6613, 0.3111)
O (0.1110, 0.0094, 0.2663)
O (0.9906, 0.8890, 0.7337)
O (0.5519, 0.8547, 0.3874)
O (0.1453, 0.4481, 0.6126)
O (0.8415, 0.9481, 0.3343)
O (0.0519, 0.1585, 0.6657)
O (0.9964, 0.0036, 0.0000)
O (0.5001, 0.3523, 0.7957)
O (0.6477, 0.4999, 0.2043)
O (0.3298, 0.1593, 0.0403)
O (0.8407, 0.6702, 0.9597)
O (0.9473, 0.2025, 0.1765)
O (0.7975, 0.0527, 0.8235)
O (0.3902, 0.3948, 0.3429)
O (0.6052, 0.6098, 0.6571)
O (0.9077, 0.4595, 0.1961)
O (0.5405, 0.0923, 0.8039)
O (0.4689, 0.5311, 0.0000)


[6]
First-principles (PBE) data for a relaxed KVCu3Se4 crystal, as listed in the Materials Project.

Output
- Space-group type: P-43m, No. 215
- ΔH_f (0 K): -0.681 eV/atom

Cell: 6.0770 6.0770 6.0770 Å, 90.00 90.00 90.00°
Element x y z (fractional)
K (0.5000, 0.5000, 0.5000)
V (0.0000, 0.0000, 0.0000)
Cu (0.0000, 0.5000, 0.0000)
Cu (0.0000, 0.0000, 0.5000)
Cu (0.5000, 0.0000, 0.0000)
Se (0.2210, 0.2210, 0.2210)
Se (0.7790, 0.7790, 0.2210)
Se (0.2210, 0.7790, 0.7790)
Se (0.7790, 0.2210, 0.7790)


[7]
First-principles (PBE) data for a relaxed LaAl8Fe4 crystal, as listed in the Materials Project.

Output
- Space-group type: I4/mmm, No. 139
- ΔH_f (0 K): -0.391 eV/atom

Cell: 6.7374 6.7374 6.7374 Å, 98.05 98.05 136.04°
Element x y z (fractional)
La (0.0000, 0.0000, 0.0000)
Al (0.7267, 0.5000, 0.2267)
Al (0.5000, 0.2733, 0.7733)
Al (0.3442, 0.0000, 0.3442)
Al (0.0000, 0.6558, 0.6558)
Al (0.6558, 0.0000, 0.6558)
Al (0.0000, 0.3442, 0.3442)
Al (0.2733, 0.5000, 0.7733)
Al (0.5000, 0.7267, 0.2267)
Fe (0.5000, 0.5000, 0.5000)
Fe (0.0000, 0.0000, 0.5000)
Fe (0.0000, 0.5000, 0.0000)
Fe (0.5000, 0.0000, 0.0000)


[8]
First-principles (PBE) data for a relaxed SbH3CS2N crystal, as listed in the Materials Project.

Output
- Excess energy over the best structure of this formula in the dataset: 0.0000 eV per atom
- Space-group type: P-1, No. 2
- ΔH_f (0 K): 0.074 eV/atom

Cell: 7.3250 8.1190 11.2866 Å, 91.73 99.83 108.93°
Element x y z (fractional)
Sb (0.5564, 0.7029, 0.3640)
Sb (0.4436, 0.2971, 0.6360)
Sb (0.1362, 0.7284, 0.1308)
Sb (0.8638, 0.2716, 0.8692)
H (0.2021, 0.7995, 0.5569)
H (0.7979, 0.2005, 0.4431)
H (0.7641, 0.7065, 0.6606)
H (0.2359, 0.2935, 0.3394)
H (0.1045, 0.7440, 0.6919)
H (0.8955, 0.2560, 0.3081)
H (0.8839, 0.6715, 0.8738)
H (0.1161, 0.3285, 0.1262)
H (0.5781, 0.7728, 0.8115)
H (0.4219, 0.2272, 0.1885)
H (0.5381, 0.7661, 0.9656)
H (0.4619, 0.2339, 0.0344)
C (0.2343, 0.0011, 0.6831)
C (0.7657, 0.9989, 0.3169)
C (0.6819, 0.0045, 0.9219)
C (0.3181, 0.9955, 0.0781)
S (0.4315, 0.3263, 0.3670)
S (0.5685, 0.6737, 0.6330)
S (0.2538, 0.7574, 0.3746)
S (0.7462, 0.2426, 0.6254)
S (0.4372, 0.6586, 0.1304)
S (0.5628, 0.3414, 0.8696)
S (0.9368, 0.3445, 0.1187)
S (0.0632, 0.6555, 0.8813)
N (0.1742, 0.8419, 0.6396)
N (0.8258, 0.1581, 0.3604)
N (0.5981, 0.8413, 0.8980)
N (0.4019, 0.1587, 0.1020)


[9]
First-principles (PBE) data for a relaxed CeAl4Si2Ir crystal, as listed in the Materials Project.

Output
- Space-group type: P4/mmm, No. 123
- ΔH_f (0 K): -0.638 eV/atom

Cell: 4.2641 4.2641 7.9152 Å, 90.00 90.00 90.00°
Element x y z (fractional)
Ce (0.0000, 0.0000, 0.5000)
Al (0.0000, 0.5000, 0.8294)
Al (0.5000, 0.0000, 0.8294)
Al (0.0000, 0.5000, 0.1706)
Al (0.5000, 0.0000, 0.1706)
Si (0.5000, 0.5000, 0.6435)
Si (0.5000, 0.5000, 0.3565)
Ir (0.0000, 0.0000, 0.0000)


[10]
First-principles (PBE) data for a relaxed CaSmB12 crystal, as listed in the Materials Project.

Output
- Space-group type: P4/mmm, No. 123
- ΔH_f (0 K): -0.439 eV/atom

Cell: 4.1307 4.1307 8.2688 Å, 90.00 90.00 90.00°
Element x y z (fractional)
Ca (0.0000, 0.0000, 0.0000)
Sm (0.0000, 0.0000, 0.5000)
B (0.2004, 0.5000, 0.2502)
B (0.2004, 0.5000, 0.7498)
B (0.5000, 0.5000, 0.4000)
B (0.5000, 0.5000, 0.8994)
B (0.5000, 0.2004, 0.2502)
B (0.5000, 0.2004, 0.7498)
B (0.5000, 0.5000, 0.1006)
B (0.5000, 0.5000, 0.6000)
B (0.5000, 0.7996, 0.2502)
B (0.5000, 0.7996, 0.7498)
B (0.7996, 0.5000, 0.2502)
B (0.7996, 0.5000, 0.7498)


[11]
First-principles (PBE) data for a relaxed SmGa crystal, as listed in the Materials Project.

Output
- Space-group type: Cmcm, No. 63
- ΔH_f (0 K): -0.604 eV/atom

Cell: 6.0144 6.0144 4.1471 Å, 90.00 90.00 136.81°
Element x y z (fractional)
Sm (0.8594, 0.1406, 0.2500)
Sm (0.1406, 0.8594, 0.7500)
Ga (0.5721, 0.4279, 0.2500)
Ga (0.4279, 0.5721, 0.7500)